No. 1
Li2NbP4O13 | PBE | relaxed

Cell lengths 5.241, 8.087, 13.366 Å; angles 77.54, 84.73, 79.76 degrees
Space group P-1 (No. 2)
Symmetry-distinct sites (fractional):
Li 0.070 0.320 0.013 (multiplicity 2)
Li 0.395 0.334 0.494 (multiplicity 2)
Nb 0.447 0.051 0.260 (multiplicity 2)
P 0.014 0.900 0.145 (multiplicity 2)
P 0.121 0.794 0.632 (multiplicity 2)
P 0.319 0.656 0.304 (multiplicity 2)
P 0.342 0.571 0.823 (multiplicity 2)
O 0.060 0.751 0.250 (multiplicity 2)
O 0.084 0.817 0.055 (multiplicity 2)
O 0.136 0.648 0.738 (multiplicity 2)
O 0.170 0.041 0.156 (multiplicity 2)
O 0.176 0.137 0.367 (multiplicity 2)
O 0.196 0.521 0.923 (multiplicity 2)
O 0.233 0.713 0.545 (multiplicity 2)
O 0.264 0.938 0.648 (multiplicity 2)
O 0.265 0.508 0.385 (multiplicity 2)
O 0.279 0.031 0.841 (multiplicity 2)
O 0.452 0.790 0.336 (multiplicity 2)
O 0.466 0.305 0.181 (multiplicity 2)
O 0.496 0.399 0.792 (multiplicity 2)

---

No. 2
LiNbPO5 | PBE | relaxed

Cell lengths 14.237, 5.437, 10.896 Å; angles 90.00, 113.61, 90.00 degrees
Space group C2 (No. 5)
Symmetry-distinct sites (fractional):
Li 0.001 0.000 0.252 (multiplicity 4)
Li 0.247 0.752 0.249 (multiplicity 4)
Nb 0.000 0.001 0.000 (multiplicity 2)
Nb 0.000 0.002 0.500 (multiplicity 2)
Nb 0.249 0.752 0.748 (multiplicity 4)
P 0.124 0.500 0.440 (multiplicity 4)
P 0.124 0.503 0.937 (multiplicity 4)
O 0.056 0.266 0.409 (multiplicity 4)
O 0.058 0.739 0.909 (multiplicity 4)
O 0.060 0.266 0.905 (multiplicity 4)
O 0.060 0.738 0.405 (multiplicity 4)
O 0.125 0.962 0.665 (multiplicity 4)
O 0.126 0.040 0.168 (multiplicity 4)
O 0.187 0.509 0.849 (multiplicity 4)
O 0.188 0.492 0.354 (multiplicity 4)
O 0.194 0.498 0.590 (multiplicity 4)
O 0.196 0.504 0.092 (multiplicity 4)

---

No. 3
LiNbPO5 | PBE | relaxed

Cell lengths 7.623, 6.688, 7.499 Å; angles 90.00, 90.00, 90.00 degrees
Space group Pnma (No. 62)
Symmetry-distinct sites (fractional):
Li 0.000 0.000 0.000 (multiplicity 4)
Nb 0.161 0.250 0.279 (multiplicity 4)
P 0.128 0.750 0.367 (multiplicity 4)
O 0.041 0.250 0.520 (multiplicity 4)
O 0.097 0.750 0.837 (multiplicity 4)
O 0.130 0.564 0.244 (multiplicity 8)
O 0.209 0.250 0.991 (multiplicity 4)

---

No. 4
Li3Nb3P8O29 | PBE | relaxed

Cell lengths 17.386, 10.038, 14.085 Å; angles 90.00, 90.23, 90.00 degrees
Space group C2/c (No. 15)
Symmetry-distinct sites (fractional):
Li 0.000 0.000 0.000 (multiplicity 4)
Li 0.115 0.210 0.056 (multiplicity 8)
Nb 0.000 0.433 0.750 (multiplicity 4)
Nb 0.217 0.215 0.259 (multiplicity 8)
P 0.039 0.265 0.346 (multiplicity 8)
P 0.115 0.195 0.844 (multiplicity 8)
P 0.151 0.067 0.656 (multiplicity 8)
P 0.165 0.494 0.124 (multiplicity 8)
O 0.000 0.206 0.250 (multiplicity 4)
O 0.005 0.210 0.073 (multiplicity 8)
O 0.039 0.418 0.334 (multiplicity 8)
O 0.047 0.296 0.832 (multiplicity 8)
O 0.095 0.436 0.672 (multiplicity 8)
O 0.102 0.101 0.574 (multiplicity 8)
O 0.106 0.095 0.756 (multiplicity 8)
O 0.111 0.121 0.935 (multiplicity 8)
O 0.124 0.217 0.339 (multiplicity 8)
O 0.165 0.490 0.019 (multiplicity 8)
O 0.166 0.349 0.169 (multiplicity 8)
O 0.170 0.085 0.163 (multiplicity 8)
O 0.191 0.273 0.827 (multiplicity 8)
O 0.229 0.145 0.667 (multiplicity 8)
O 0.237 0.431 0.670 (multiplicity 8)

---

No. 5
Li2Nb2P3O12 | PBE | relaxed

Cell lengths 15.250, 9.185, 8.897 Å; angles 90.00, 125.23, 90.00 degrees
Space group C2/c (No. 15)
Symmetry-distinct sites (fractional):
Li 0.246 0.069 0.048 (multiplicity 8)
Nb 0.111 0.250 0.142 (multiplicity 8)
P 0.000 0.034 0.750 (multiplicity 4)
P 0.145 0.402 0.537 (multiplicity 8)
O 0.037 0.349 0.489 (multiplicity 8)
O 0.064 0.063 0.202 (multiplicity 8)
O 0.086 0.130 0.913 (multiplicity 8)
O 0.159 0.429 0.055 (multiplicity 8)
O 0.167 0.365 0.391 (multiplicity 8)
O 0.233 0.337 0.729 (multiplicity 8)

---

No. 6
LiNb2P3O12 | PBE | relaxed

Cell lengths 15.492, 8.890, 8.946 Å; angles 90.00, 125.12, 90.00 degrees
Space group Cc (No. 9)
Symmetry-distinct sites (fractional):
Li 0.000 0.233 0.000 (multiplicity 4)
Nb 0.192 0.250 0.424 (multiplicity 4)
Nb 0.407 0.249 0.067 (multiplicity 4)
P 0.153 0.104 0.744 (multiplicity 4)
P 0.300 0.459 0.248 (multiplicity 4)
P 0.444 0.104 0.744 (multiplicity 4)
O 0.033 0.322 0.239 (multiplicity 4)
O 0.060 0.177 0.736 (multiplicity 4)
O 0.142 0.069 0.244 (multiplicity 4)
O 0.151 0.145 0.573 (multiplicity 4)
O 0.221 0.360 0.257 (multiplicity 4)
O 0.237 0.444 0.575 (multiplicity 4)
O 0.257 0.163 0.917 (multiplicity 4)
O 0.341 0.163 0.571 (multiplicity 4)
O 0.364 0.441 0.921 (multiplicity 4)
O 0.382 0.355 0.253 (multiplicity 4)
O 0.451 0.145 0.917 (multiplicity 4)
O 0.452 0.069 0.243 (multiplicity 4)

---

No. 7
LiNb2P2O10 | PBE | relaxed

Cell lengths 4.872, 6.463, 6.576 Å; angles 90.00, 92.96, 90.00 degrees
Space group Pm (No. 6)
Symmetry-distinct sites (fractional):
Li 0.000 0.000 0.000 (multiplicity 1)
Nb 0.138 0.500 0.813 (multiplicity 1)
Nb 0.680 0.000 0.337 (multiplicity 1)
P 0.395 0.500 0.325 (multiplicity 1)
P 0.431 0.000 0.821 (multiplicity 1)
O 0.041 0.000 0.307 (multiplicity 1)
O 0.212 0.500 0.510 (multiplicity 1)
O 0.216 0.500 0.124 (multiplicity 1)
O 0.232 0.186 0.826 (multiplicity 2)
O 0.577 0.305 0.333 (multiplicity 2)
O 0.616 0.000 0.019 (multiplicity 1)
O 0.619 0.000 0.644 (multiplicity 1)
O 0.779 0.500 0.806 (multiplicity 1)

---

No. 8
LiNb2P2O10 | PBE | relaxed

Cell lengths 9.554, 9.249, 4.148 Å; angles 90.00, 92.14, 90.00 degrees
Space group C2/m (No. 12)
Symmetry-distinct sites (fractional):
Li 0.000 0.000 0.000 (multiplicity 2)
Nb 0.238 0.500 0.243 (multiplicity 4)
P 0.000 0.247 0.500 (multiplicity 4)
O 0.093 0.148 0.718 (multiplicity 8)
O 0.094 0.343 0.295 (multiplicity 8)
O 0.247 0.000 0.194 (multiplicity 4)

---

No. 9
LiNbPO5 | PBE | relaxed

Cell lengths 14.278, 5.419, 10.860 Å; angles 90.00, 113.71, 90.00 degrees
Space group C2/c (No. 15)
Symmetry-distinct sites (fractional):
Li 0.000 0.000 0.000 (multiplicity 4)
Li 0.250 0.250 0.000 (multiplicity 4)
Nb 0.000 0.000 0.250 (multiplicity 4)
Nb 0.250 0.250 0.500 (multiplicity 4)
P 0.125 0.499 0.687 (multiplicity 8)
O 0.058 0.262 0.656 (multiplicity 8)
O 0.060 0.263 0.153 (multiplicity 8)
O 0.125 0.039 0.418 (multiplicity 8)
O 0.188 0.494 0.601 (multiplicity 8)
O 0.194 0.497 0.840 (multiplicity 8)

---

no.,formation energy from the elements (kJ/mol of atoms),total magnetization (μB/f.u.)
1,-257.7,1.00
2,-264.8,1.00
3,-266.4,1.00
4,-265.0,0.00
5,-259.8,3.00
6,-267.3,2.00
7,-266.6,1.00
8,-269.0,1.00
9,-265.0,1.00